## BaEuCrBiO6 (PBE+U)

Data for an optimized crystal structure of BaEuCrBiO6.

Unit cell a=5.8718 b=5.8718 c=5.8718 alpha=60.00 beta=60.00 gamma=60.00
With the nearest neighbours (Å) after each atom.
Positions (direct):
Ba (0.7500, 0.7500, 0.7500)  12 O 2.94
Eu (0.2500, 0.2500, 0.2500)  12 O 2.94
Cr (0.5000, 0.5000, 0.5000)  6 O 2.02
Bi (0.0000, 0.0000, 0.0000)  6 O 2.13
O (0.7437, 0.2563, 0.2563)  1 Cr 2.02, 1 Bi 2.13
O (0.2563, 0.7437, 0.7437)  1 Cr 2.02, 1 Bi 2.13
O (0.7437, 0.2563, 0.7437)  1 Cr 2.02, 1 Bi 2.13
O (0.2563, 0.7437, 0.2563)  1 Cr 2.02, 1 Bi 2.13
O (0.7437, 0.7437, 0.2563)  1 Cr 2.02, 1 Bi 2.13
O (0.2563, 0.2563, 0.7437)  1 Cr 2.02, 1 Bi 2.13

The calculation puts the total energy at -7.276 eV/atom. For the formation energy, the calculation gives -2.347 eV/atom. Its space-group type is No. 216. The value obtained for the total magnetic moment is 9.85 μB per formula unit.

=====

## Ba2CrBiO6 (PBE+U)

Data for an optimized crystal structure of Ba2CrBiO6.

Unit cell a=5.9136 b=5.9136 c=5.9136 alpha=60.00 beta=60.00 gamma=60.00
With the nearest neighbours (Å) after each atom.
Positions (direct):
Ba (0.2500, 0.2500, 0.2500)  12 O 2.96
Ba (0.7500, 0.7500, 0.7500)  12 O 2.96
Cr (0.5000, 0.5000, 0.5000)  6 O 2.05
Bi (0.0000, 0.0000, 0.0000)  6 O 2.13
O (0.7449, 0.2551, 0.2551)  1 Cr 2.05, 1 Bi 2.13
O (0.2551, 0.7449, 0.7449)  1 Cr 2.05, 1 Bi 2.13
O (0.7449, 0.2551, 0.7449)  1 Cr 2.05, 1 Bi 2.13
O (0.2551, 0.7449, 0.2551)  1 Cr 2.05, 1 Bi 2.13
O (0.7449, 0.7449, 0.2551)  1 Cr 2.05, 1 Bi 2.13
O (0.2551, 0.2551, 0.7449)  1 Cr 2.05, 1 Bi 2.13

The calculation puts the total energy at -6.435 eV/atom. For the formation energy, the calculation gives -2.340 eV/atom. Its space-group type is No. 225. The value obtained for the total magnetic moment is 3.00 μB per formula unit.